HoSi2 PBE relaxed; calculated formation energy = -0.4761 eV/atom; spin magnetization = 0.01 μB/f.u.
1.0
-1.975 1.975 7.351
1.975 -1.975 7.351
1.975 1.975 -7.351
Ho Si
2 4
direct
0.375 0.625 0.750
0.625 0.375 0.250
0.043 0.793 0.250
0.207 0.957 0.250
0.793 0.043 0.750
0.957 0.207 0.750